(1)
! Pm3Al | the Materials Project database | PBE | optimized geometry; values from VASP
&SYSTEM
  ibrav = 0, nat = 4, ntyp = 2
/
ATOMIC_SPECIES
Pm 145.00 Pm.upf
Al 26.98 Al.upf
ATOMIC_POSITIONS angstrom
Pm 2.436 0.000 2.436
Pm 2.436 2.436 0.000
Al 0.000 0.000 0.000
Pm 0.000 2.436 2.436
CELL_PARAMETERS angstrom
4.873 0.000 0.000
0.000 4.873 0.000
0.000 0.000 4.873
! - Symmetry: Pm-3m

(2)
! ThSn3 | the Materials Project database | PBE | optimized geometry; values from VASP
&SYSTEM
  ibrav = 0, nat = 4, ntyp = 2
/
ATOMIC_SPECIES
Sn 118.71 Sn.upf
Th 232.04 Th.upf
ATOMIC_POSITIONS angstrom
Sn 2.383 2.383 0.000
Th 0.000 0.000 0.000
Sn 2.383 0.000 2.383
Sn 0.000 2.383 2.383
CELL_PARAMETERS angstrom
4.766 0.000 0.000
0.000 4.766 0.000
0.000 0.000 4.766
! - Symmetry: Pm-3m

(3)
! LaErSe2 | the Materials Project database | PBE | optimized geometry; values from VASP
&SYSTEM
  ibrav = 0, nat = 4, ntyp = 3
/
ATOMIC_SPECIES
La 138.91 La.upf
Er 167.26 Er.upf
Se 78.96 Se.upf
ATOMIC_POSITIONS angstrom
La -0.762 2.512 10.172
Er 0.000 0.000 0.000
Se -1.131 3.727 15.092
Se -0.393 1.297 5.252
CELL_PARAMETERS angstrom
1.690 2.573 6.724
-2.372 3.065 6.298
-0.842 -0.614 7.321
! - Symmetry: R-3m
! - MP2020-corrected energy: -6.210 eV/atom

(4)
! Cu2H3ClO3 | the Materials Project database | PBE | optimized geometry; values from VASP
&SYSTEM
  ibrav = 0, nat = 36, ntyp = 4
/
ATOMIC_SPECIES
H 1.01 H.upf
Cu 63.55 Cu.upf
O 16.00 O.upf
Cl 35.45 Cl.upf
ATOMIC_POSITIONS angstrom
H -3.714 -0.625 3.369
Cu 0.000 0.000 0.000
O -3.333 -3.294 1.274
H -5.709 -3.127 7.643
O -7.957 -0.016 4.792
H -5.759 -5.012 1.954
O -3.064 -4.052 3.811
H -5.881 -0.535 6.936
Cu -2.379 -2.417 4.618
Cu -2.409 -1.522 1.307
Cu -7.081 -0.799 3.164
H -3.591 -5.102 -1.613
Cl -4.514 -6.564 1.480
Cl -4.415 -1.976 6.556
O -6.408 -1.585 1.512
O -1.516 -5.621 0.530
Cu -4.736 -2.818 2.661
O -6.173 -4.143 2.216
Cu -7.063 -4.115 4.016
H -3.568 -4.661 4.404
O -1.409 0.219 1.445
Cl -4.959 0.927 3.842
O -1.723 -1.550 -0.517
H -5.703 -0.402 -1.586
H -3.764 -2.510 -2.320
Cu -2.357 -0.401 -1.957
O -6.140 -2.343 4.048
H -3.770 -5.235 6.909
Cl -5.058 -3.661 -1.233
H -3.754 -3.497 0.397
Cu -2.392 -4.838 2.159
H -5.905 -0.976 0.919
O -3.299 -1.494 3.107
H -5.719 -2.140 4.926
O -7.750 -4.087 5.840
O -8.064 -5.856 3.877
CELL_PARAMETERS angstrom
-4.715 -0.803 -3.914
-0.122 -6.673 1.515
-4.636 1.838 7.721
! - Symmetry: P2_1/c
! - MP2020-corrected energy: -4.897 eV/atom

(5)
! BSBr | the Materials Project database | PBE | optimized geometry; values from VASP
&SYSTEM
  ibrav = 0, nat = 36, ntyp = 3
/
ATOMIC_SPECIES
Br 79.90 Br.upf
B 10.81 B.upf
S 32.06 S.upf
ATOMIC_POSITIONS angstrom
Br 2.039 14.125 14.353
B 2.545 8.261 10.153
S 3.947 6.312 4.546
Br 0.338 4.044 6.353
Br 2.165 7.159 8.616
S 0.341 3.543 3.257
S 0.874 16.293 12.404
S 2.751 15.080 5.218
S 3.284 10.295 13.022
Br 2.749 14.579 2.122
B 0.098 17.922 12.366
Br 2.072 8.027 14.829
S 3.311 9.848 9.763
Br 0.372 10.142 5.878
B 2.275 14.344 6.797
B 1.204 15.848 14.123
Br 0.245 3.176 0.141
B 1.207 11.865 5.648
Br 2.782 8.481 2.597
B 2.508 8.666 13.059
B 3.617 6.757 2.827
S 0.901 16.741 15.662
Br 4.482 18.562 10.597
S 2.069 7.526 11.732
Br 4.449 12.464 11.072
B 3.614 10.740 11.302
Br 2.656 15.447 8.334
Br 4.576 19.429 16.809
S 4.480 19.063 13.694
S 3.920 5.865 1.288
B 2.313 13.939 3.891
S 1.537 12.310 3.929
S 1.509 12.758 7.187
B 4.686 4.278 1.678
B 0.135 18.327 15.273
B 4.723 4.683 4.584
CELL_PARAMETERS angstrom
4.821 0.000 0.000
0.000 14.640 0.000
0.000 7.966 16.950
! - Symmetry: P2_1/c
! - MP2020-corrected energy: -5.010 eV/atom

(6)
! BaNd | the Materials Project database | PBE | optimized geometry; values from VASP
&SYSTEM
  ibrav = 0, nat = 2, ntyp = 2
/
ATOMIC_SPECIES
Nd 144.24 Nd.upf
Ba 137.33 Ba.upf
ATOMIC_POSITIONS angstrom
Nd 0.000 0.000 0.000
Ba -3.889 0.393 0.890
CELL_PARAMETERS angstrom
0.785 3.362 1.946
-2.688 -0.023 -2.912
-4.718 -1.425 4.366
! - Symmetry: P-6m2

(7)
! KMnP | the Materials Project database | PBE | optimized geometry; values from VASP
&SYSTEM
  ibrav = 0, nat = 6, ntyp = 3
/
ATOMIC_SPECIES
P 30.97 P.upf
K 39.10 K.upf
Mn 54.94 Mn.upf
ATOMIC_POSITIONS angstrom
P -0.813 0.192 2.131
P 1.078 7.711 5.249
K 1.517 2.498 2.263
Mn 1.029 -1.165 2.185
Mn 0.000 0.000 0.000
K -1.253 5.404 5.118
CELL_PARAMETERS angstrom
-1.440 -1.835 2.991
3.498 -0.495 1.380
-0.765 9.068 5.195
! - Symmetry: P4/nmm

(8)
! CsLi2I3 | the Materials Project database | PBE | optimized geometry; values from VASP
&SYSTEM
  ibrav = 0, nat = 6, ntyp = 3
/
ATOMIC_SPECIES
Li 6.94 Li.upf
I 126.90 I.upf
Cs 132.91 Cs.upf
ATOMIC_POSITIONS angstrom
Li 2.328 0.000 1.511
I 0.000 0.000 7.723
Cs 2.328 2.328 5.427
I 0.000 0.000 3.130
I 2.328 2.328 0.000
Li 0.000 2.328 9.342
CELL_PARAMETERS angstrom
4.656 0.000 0.000
0.000 4.656 0.000
0.000 0.000 10.853
! - Piezoelectric modulus e_max: 0.1 C/m2
! - Symmetry: P-4m2
! - MP2020-corrected energy: -3.057 eV/atom

VASP energy: -4.67 -5.31 -5.97 -4.67 -4.66 -3.11 -5.65 -2.87 (eV/atom)
Volume: 28.92 27.07 25.66 10.63 33.23 44.78 25.13 39.21 (Å³ per atom)
Energy of formation: -16.26 -43.31 -201.25 -96.55 -82.85 22.32 -41.03 -145.63 (kJ/mol of atoms)